Density functional theory data (meta-GGA r2SCAN) for crystalline Ca3RhN3 at its relaxed geometry.

The structure in POSCAR format:
```
Ca3RhN3
1.0
-2.6612 5.2786 -4.2705
2.8965 -5.9828 -3.0111
-4.4464 -2.1868 0.0678
N Ca Rh
6 6 2
Direct
0.1002 0.3887 0.2500
0.2846 0.9001 0.2500
0.6147 0.7144 0.2500
0.7154 0.0999 0.7500
0.8998 0.6113 0.7500
0.3853 0.2856 0.7500
0.9039 0.6348 0.2500
0.7355 0.0958 0.2500
0.6382 0.7332 0.7500
0.2645 0.9042 0.7500
0.0961 0.3652 0.7500
0.3618 0.2668 0.2500
0.3343 0.6683 0.2500
0.6657 0.3317 0.7500
```

Energy relative to the elements in eV per atom: -0.760
Raw total energy in hartree per atom: -0.409
Calculated density in Mg/m³: 3.85

---

Density functional theory data (meta-GGA r2SCAN) for crystalline LaCoC2 at its relaxed geometry.

The structure in POSCAR format:
```
LaCoC2
1.0
2.7307 2.7288 0.0010
-2.7307 2.7288 0.0010
0.0000 1.5878 7.2360
La C Co
2 4 2
Direct
0.9264 0.0762 0.5023
0.0762 0.9264 0.0023
0.5949 0.4420 0.9258
0.4917 0.8485 0.2737
0.8485 0.4917 0.7737
0.4420 0.5949 0.4258
0.3710 0.5153 0.6952
0.5153 0.3710 0.1952
```

Energy relative to the elements in eV per atom: -0.323
Raw total energy in hartree per atom: -0.589
Calculated density in Mg/m³: 6.83

---

Density functional theory data (meta-GGA r2SCAN) for crystalline SbRh3 at its relaxed geometry.

The structure in POSCAR format:
```
SbRh3
1.0
3.9289 0.0000 0.0000
0.0000 3.9288 0.0000
0.0000 0.0000 3.9288
Rh Sb
3 1
Direct
0.0000 0.5000 0.5000
0.5000 0.5000 0.0000
0.5000 0.0000 0.5000
0.0000 0.0000 0.0000
```

Energy relative to the elements in eV per atom: -0.276
Raw total energy in hartree per atom: -0.912
Calculated density in Mg/m³: 11.79

---

Density functional theory data (meta-GGA r2SCAN) for crystalline EuIn8Rh2 at its relaxed geometry.

The structure in POSCAR format:
```
EuIn8Rh2
1.0
-2.1421 -3.8135 -0.2718
11.9069 -6.4648 -3.1374
2.7164 -2.6498 15.7708
In Rh Eu
32 8 4
Direct
0.0000 0.4801 0.8662
0.5000 0.3985 0.7464
0.5000 0.1016 0.2465
0.0000 0.6674 0.3773
0.0000 0.9801 0.6338
0.0000 0.1696 0.5118
0.0000 0.5505 0.6841
0.0000 0.7401 0.1778
0.0000 0.4495 0.3159
0.0000 0.3326 0.6227
0.0000 0.9495 0.1841
0.0000 0.0505 0.8159
0.0000 0.2599 0.8222
0.5000 0.8405 0.0441
0.5000 0.5000 0.0000
0.0000 0.5000 0.5000
0.0000 0.9999 0.0000
0.0000 0.5199 0.1338
0.5000 0.0000 0.5000
0.5000 0.1595 0.9560
0.0000 0.8304 0.4882
0.0000 0.0199 0.3662
0.0000 0.8325 0.8772
0.0000 0.2401 0.3223
0.0000 0.3303 0.0118
0.5000 0.6016 0.2536
0.5000 0.6596 0.5441
0.0000 0.6696 0.9882
0.5000 0.8984 0.7535
0.0000 0.7599 0.6777
0.5000 0.3405 0.4559
0.0000 0.1674 0.1227
0.5000 0.8456 0.5961
0.5000 0.9658 0.9045
0.5000 0.6544 0.0961
0.5000 0.4659 0.5955
0.5000 0.5342 0.4046
0.5000 0.1544 0.4039
0.5000 0.3456 0.9039
0.5000 0.0341 0.0954
0.5000 0.3439 0.1805
0.5000 0.6561 0.8195
0.5000 0.8438 0.3195
0.5000 0.1562 0.6805
```

Energy relative to the elements in eV per atom: -0.466
Raw total energy in hartree per atom: -0.911
Calculated density in Mg/m³: 8.58

---

Density functional theory data (meta-GGA r2SCAN) for crystalline GaAg9Se6 at its relaxed geometry.

The structure in POSCAR format:
```
GaAg9Se6
1.0
11.1849 0.0000 0.0000
0.0000 11.1852 -0.0001
0.0000 -0.0001 11.1852
Ga Ag Se
4 36 24
Direct
0.9916 0.4916 0.0084
0.4916 0.0084 0.9916
0.0084 0.9916 0.4916
0.5084 0.5084 0.5084
0.9290 0.6332 0.6762
0.3672 0.6688 0.9601
0.9685 0.7275 0.2676
0.2324 0.0315 0.2275
0.0710 0.1332 0.8238
0.7676 0.5315 0.2725
0.7275 0.2676 0.9685
0.8238 0.0710 0.1332
0.3238 0.4290 0.8668
0.0315 0.2275 0.2324
0.8668 0.3238 0.4290
0.5315 0.2725 0.7676
0.4290 0.8668 0.3238
0.3668 0.1762 0.5710
0.9601 0.3672 0.6688
0.4685 0.7725 0.7324
0.1688 0.5399 0.6329
0.3312 0.4601 0.1329
0.1762 0.5710 0.3668
0.6762 0.9290 0.6332
0.2275 0.2324 0.0315
0.0399 0.8671 0.8312
0.2725 0.7676 0.5315
0.8312 0.0399 0.8672
0.8671 0.8312 0.0399
0.5710 0.3668 0.1762
0.4601 0.1329 0.3312
0.7324 0.4685 0.7725
0.6328 0.1688 0.5399
0.2676 0.9685 0.7275
0.5399 0.6328 0.1688
0.6688 0.9601 0.3671
0.6332 0.6762 0.9290
0.7725 0.7324 0.4685
0.1332 0.8239 0.0710
0.1329 0.3312 0.4601
0.1269 0.1344 0.5997
0.9004 0.8732 0.6344
0.7638 0.2362 0.7362
0.3690 0.1310 0.8690
0.1309 0.8690 0.3690
0.8656 0.0997 0.3732
0.2362 0.7362 0.7638
0.8732 0.6345 0.9003
0.3732 0.8656 0.0997
0.5250 0.4750 0.9750
0.4750 0.9750 0.5250
0.6344 0.9003 0.8732
0.2638 0.2638 0.2638
0.5997 0.1268 0.1344
0.3656 0.4003 0.6268
0.7362 0.7638 0.2362
0.4003 0.6268 0.3656
0.1345 0.5997 0.1268
0.6310 0.6310 0.6310
0.9750 0.5250 0.4750
0.0250 0.0250 0.0250
0.8691 0.3690 0.1310
0.6268 0.3656 0.4003
0.0996 0.3731 0.8656
```

Energy relative to the elements in eV per atom: -0.242
Raw total energy in hartree per atom: -0.674
Calculated density in Mg/m³: 7.19

---

Density functional theory data (meta-GGA r2SCAN) for crystalline TiSn6F16 at its relaxed geometry.

The structure in POSCAR format:
```
TiSn6F16
1.0
3.8170 9.0618 -0.0145
-3.8170 9.0618 -0.0145
0.0000 0.1668 10.9002
Sn Ti F
12 2 32
Direct
0.8844 0.7043 0.6791
0.2957 0.1156 0.8209
0.2446 0.8960 0.1065
0.7554 0.1040 0.8935
0.1156 0.2957 0.3209
0.2458 0.4623 0.0308
0.1040 0.7554 0.3935
0.4623 0.2458 0.5308
0.5377 0.7542 0.4692
0.8960 0.2446 0.6065
0.7542 0.5377 0.9692
0.7043 0.8844 0.1791
0.6685 0.3315 0.2500
0.3315 0.6685 0.7500
0.2259 0.9105 0.7032
0.0895 0.7741 0.7968
0.7100 0.9889 0.7513
0.1196 0.1387 0.4862
0.4971 0.1847 0.9555
0.1847 0.4971 0.4555
0.6067 0.8676 0.5929
0.2900 0.0111 0.2487
0.8153 0.5029 0.5445
0.2870 0.2715 0.6587
0.5634 0.5744 0.2074
0.7130 0.7285 0.3413
0.1324 0.3933 0.9071
0.6257 0.2984 0.0898
0.4366 0.4256 0.7926
0.9105 0.2259 0.2032
0.3743 0.7016 0.9102
0.5744 0.5634 0.7074
0.2984 0.6257 0.5898
0.7741 0.0895 0.2968
0.4256 0.4366 0.2926
0.0111 0.2900 0.7487
0.9889 0.7100 0.2513
0.2715 0.2870 0.1587
0.5029 0.8153 0.0445
0.8613 0.8804 0.0138
0.3933 0.1324 0.4071
0.7016 0.3743 0.4102
0.1387 0.1196 0.9862
0.8676 0.6067 0.0929
0.8804 0.8613 0.5138
0.7285 0.7130 0.8413
```

Energy relative to the elements in eV per atom: -2.663
Raw total energy in hartree per atom: -0.436
Calculated density in Mg/m³: 4.69

---

Density functional theory data (meta-GGA r2SCAN) for crystalline CeAg3 at its relaxed geometry.

The structure in POSCAR format:
```
CeAg3
1.0
-5.2438 -3.5069 1.9178
4.7273 1.5182 4.3495
-2.3188 4.0689 1.1000
Ag Ce
6 2
Direct
0.2920 0.1460 0.7500
0.8541 0.1456 0.7500
0.1463 0.8544 0.2500
0.7080 0.8542 0.2500
0.1458 0.2915 0.2500
0.8538 0.7081 0.7500
0.3335 0.6668 0.7500
0.6666 0.3335 0.2500
```

Energy relative to the elements in eV per atom: -0.135
Raw total energy in hartree per atom: -0.877
Calculated density in Mg/m³: 8.49

---

Density functional theory data (meta-GGA r2SCAN) for crystalline SrLu2Se4 at its relaxed geometry.

The structure in POSCAR format:
```
SrLu2Se4
1.0
-3.4385 -0.4122 -2.1266
1.6791 -12.3356 -0.3240
-7.5735 -1.3595 12.5090
Sr Se Lu
4 16 8
Direct
0.2500 0.2600 0.1662
0.7500 0.2400 0.6662
0.2500 0.7600 0.3338
0.7500 0.7400 0.8338
0.2500 0.0281 0.2848
0.7500 0.8733 0.4707
0.2500 0.9105 0.9243
0.2500 0.5281 0.2152
0.7500 0.0895 0.0757
0.7500 0.2957 0.3332
0.7500 0.3733 0.0293
0.2500 0.6267 0.9707
0.2500 0.2043 0.8332
0.7500 0.4719 0.7848
0.7500 0.9719 0.7152
0.2500 0.7043 0.6668
0.2500 0.4105 0.5757
0.7500 0.5895 0.4243
0.2500 0.1267 0.5293
0.7500 0.7957 0.1668
0.2500 0.9397 0.1111
0.2500 0.9171 0.5977
0.2500 0.4171 0.9023
0.2500 0.4397 0.3889
0.7500 0.0829 0.4023
0.7500 0.5829 0.0977
0.7500 0.5603 0.6111
0.7500 0.0603 0.8889
```

Energy relative to the elements in eV per atom: -2.235
Raw total energy in hartree per atom: -0.862
Calculated density in Mg/m³: 6.73

---

Density functional theory data (meta-GGA r2SCAN) for crystalline Nd2Se3 at its relaxed geometry.

The structure in POSCAR format:
```
Nd2Se3
1.0
23.2196 0.0079 0.0136
5.1624 7.3002 0.0012
5.1624 -3.6491 6.3228
Nd Se
16 24
Direct
0.2491 0.8763 0.1264
0.8378 0.7518 0.8787
0.5842 0.8737 0.1237
0.6666 0.3690 0.2500
0.4955 0.2651 0.6214
0.3378 0.3787 0.2518
0.9955 0.1214 0.7651
0.0842 0.6237 0.3737
0.3378 0.1078 0.7348
0.1668 0.2499 0.6309
0.7491 0.6264 0.3763
0.8378 0.2348 0.6078
0.1666 0.7500 0.8690
0.9955 0.3921 0.2483
0.6668 0.1309 0.7499
0.4955 0.7483 0.8921
0.4494 0.6553 0.6523
0.0497 0.3521 0.4958
0.7076 0.3698 0.5109
0.9494 0.1523 0.1553
0.3838 0.3474 0.5039
0.7835 0.6449 0.6482
0.9496 0.4989 0.9961
0.7077 0.0072 0.3661
0.0498 0.9992 0.3549
0.5498 0.8549 0.4992
0.2835 0.5011 0.0048
0.8838 0.0039 0.8474
0.6257 0.1300 0.1338
0.2077 0.8661 0.5072
0.2076 0.0109 0.8698
0.6257 0.4929 0.9890
0.8840 0.8447 0.5004
0.1257 0.4890 0.9929
0.2835 0.1482 0.1449
0.4496 0.4961 0.9989
0.3840 0.0004 0.3447
0.5497 0.9958 0.8521
0.1257 0.6338 0.6300
0.7835 0.5048 0.0011
```

Energy relative to the elements in eV per atom: -2.191
Raw total energy in hartree per atom: -0.829
Calculated density in Mg/m³: 6.52

---

Density functional theory data (meta-GGA r2SCAN) for crystalline DyNi5 at its relaxed geometry.

The structure in POSCAR format:
```
DyNi5
1.0
-1.5364 3.4788 -2.9715
-3.1054 -3.3004 1.6607
-0.7812 2.2833 3.0770
Ni Dy
5 1
Direct
0.3333 0.6666 0.0000
0.0000 0.5000 0.5000
0.6667 0.3334 0.0000
0.5000 0.0000 0.5000
0.5000 0.5000 0.5000
0.0000 0.0000 0.0000
```

Energy relative to the elements in eV per atom: -0.313
Raw total energy in hartree per atom: -0.574
Calculated density in Mg/m³: 9.60

---

Density functional theory data (meta-GGA r2SCAN) for crystalline Zr6CI14 at its relaxed geometry.

The structure in POSCAR format:
```
Zr6CI14
1.0
-10.3373 -3.2318 -0.7509
3.7108 -9.7300 3.0698
-1.9192 3.2249 12.5415
I C Zr
28 2 12
Direct
0.1119 0.3605 0.5093
0.4670 0.7137 0.2460
0.0330 0.7863 0.7460
0.3605 0.1119 0.5093
0.3511 0.3511 0.2609
0.7137 0.4670 0.2460
0.1395 0.3881 0.0093
0.2137 0.9670 0.2540
0.8605 0.6119 0.9907
0.7512 0.2488 0.0000
0.8511 0.8511 0.2391
0.2488 0.7512 0.0000
0.7863 0.0330 0.7460
0.2863 0.5330 0.7540
0.3965 0.8965 0.7500
0.1035 0.6035 0.2500
0.5330 0.2863 0.7540
0.6489 0.6489 0.7391
0.6395 0.8881 0.4907
0.7488 0.2512 0.5000
0.8881 0.6395 0.4907
0.6035 0.1035 0.2500
0.2512 0.7488 0.5000
0.8965 0.3965 0.7500
0.3881 0.1395 0.0093
0.1489 0.1489 0.7609
0.9670 0.2137 0.2540
0.6119 0.8605 0.9907
0.0000 0.0000 0.5000
0.5000 0.5000 0.0000
0.1299 0.1299 0.4062
0.3701 0.3701 0.9062
0.5444 0.3328 0.1083
0.6299 0.6299 0.0938
0.3328 0.5444 0.1083
0.9556 0.1672 0.6083
0.8328 0.0444 0.3917
0.1672 0.9556 0.6083
0.8701 0.8701 0.5938
0.4556 0.6672 0.8917
0.6672 0.4556 0.8917
0.0444 0.8328 0.3917
```

Energy relative to the elements in eV per atom: -1.159
Raw total energy in hartree per atom: -0.901
Calculated density in Mg/m³: 5.04

---

Density functional theory data (meta-GGA r2SCAN) for crystalline MgMnO2 at its relaxed geometry.

The structure in POSCAR format:
```
MgMnO2
1.0
-2.7650 -0.7208 -1.0801
-0.9196 1.0992 -2.6977
0.7150 -3.8833 -3.5534
O Mg Mn
2 1 1
Direct
0.7548 0.7548 0.7352
0.2452 0.2452 0.2648
0.5000 0.5000 0.5000
0.0000 0.0000 0.0000
```

Energy relative to the elements in eV per atom: -2.451
Raw total energy in hartree per atom: -0.373
Calculated density in Mg/m³: 4.56